A plane-wave DFT calculation with PBE was carried out for a geometry-optimized SO6 structure.

Values from the calculation:
Total energy = -4.55 eV/atom
Spin magnetization = 0.857 μB/atom
V = 608 Å³ per cell
E_form = -0.30 eV per atom

Unit cell a=7.436 b=7.436 c=13.670 alpha=106.03 beta=106.03 gamma=57.93
Fractional coordinates of all 42 atoms:
S (0.087, 0.913, 0.750)
S (0.267, 0.419, 0.914)
S (0.419, 0.267, 0.414)
S (0.581, 0.733, 0.586)
S (0.733, 0.581, 0.086)
S (0.913, 0.087, 0.250)
O (0.011, 0.370, 0.694)
O (0.021, 0.933, 0.326)
O (0.051, 0.442, 0.864)
O (0.066, 0.099, 0.011)
O (0.067, 0.979, 0.174)
O (0.099, 0.066, 0.511)
O (0.103, 0.702, 0.700)
O (0.252, 0.628, 0.969)
O (0.264, 0.360, 0.489)
O (0.298, 0.897, 0.800)
O (0.334, 0.411, 0.335)
O (0.360, 0.264, 0.989)
O (0.370, 0.011, 0.194)
O (0.372, 0.748, 0.531)
O (0.401, 0.441, 0.645)
O (0.411, 0.334, 0.835)
O (0.441, 0.401, 0.145)
O (0.442, 0.051, 0.364)
O (0.558, 0.949, 0.636)
O (0.559, 0.599, 0.855)
O (0.589, 0.666, 0.165)
O (0.599, 0.559, 0.355)
O (0.628, 0.252, 0.469)
O (0.630, 0.989, 0.806)
O (0.640, 0.736, 0.011)
O (0.666, 0.589, 0.665)
O (0.702, 0.103, 0.200)
O (0.736, 0.640, 0.511)
O (0.748, 0.372, 0.031)
O (0.897, 0.298, 0.300)
O (0.901, 0.934, 0.489)
O (0.933, 0.021, 0.826)
O (0.934, 0.901, 0.989)
O (0.949, 0.558, 0.136)
O (0.979, 0.067, 0.674)
O (0.989, 0.630, 0.306)

=====

A plane-wave DFT calculation with PBE was carried out for a geometry-optimized SO12 structure.

Values from the calculation:
Total energy = -5.10 eV/atom
Spin magnetization = 0.462 μB/atom
V = 578 Å³ per cell
E_form = -0.21 eV per atom

Unit cell a=11.798 b=11.798 c=7.043 alpha=105.44 beta=105.44 gamma=37.89
Fractional coordinates of all 26 atoms:
S (0.111, 0.111, 0.308)
S (0.889, 0.889, 0.692)
O (0.084, 0.746, 0.758)
O (0.104, 0.226, 0.258)
O (0.162, 0.675, 0.192)
O (0.254, 0.916, 0.242)
O (0.290, 0.209, 0.903)
O (0.307, 0.615, 0.268)
O (0.325, 0.838, 0.808)
O (0.360, 0.337, 0.512)
O (0.361, 0.179, 0.083)
O (0.366, 0.066, 0.777)
O (0.380, 0.323, 0.688)
O (0.385, 0.693, 0.732)
O (0.663, 0.640, 0.488)
O (0.677, 0.620, 0.312)
O (0.699, 0.222, 0.152)
O (0.765, 0.075, 0.160)
O (0.774, 0.896, 0.742)
O (0.778, 0.301, 0.848)
O (0.791, 0.710, 0.097)
O (0.810, 0.028, 0.579)
O (0.821, 0.639, 0.917)
O (0.925, 0.235, 0.840)
O (0.934, 0.634, 0.223)
O (0.972, 0.190, 0.421)

=====

A plane-wave DFT calculation with PBE was carried out for a geometry-optimized SO5 structure.

Values from the calculation:
Total energy = -4.86 eV/atom
Spin magnetization = 0.667 μB/atom
V = 394 Å³ per cell
E_form = -0.62 eV per atom

Unit cell a=6.684 b=6.891 c=8.555 alpha=90.00 beta=90.00 gamma=90.00
Fractional coordinates of all 24 atoms:
S (0.223, 0.085, 0.063)
S (0.277, 0.915, 0.563)
S (0.723, 0.415, 0.937)
S (0.777, 0.585, 0.437)
O (0.036, 0.971, 0.070)
O (0.100, 0.042, 0.555)
O (0.218, 0.218, 0.928)
O (0.238, 0.198, 0.216)
O (0.245, 0.483, 0.165)
O (0.255, 0.517, 0.665)
O (0.262, 0.802, 0.716)
O (0.282, 0.782, 0.428)
O (0.400, 0.958, 0.055)
O (0.464, 0.029, 0.570)
O (0.536, 0.529, 0.930)
O (0.600, 0.458, 0.445)
O (0.718, 0.282, 0.072)
O (0.738, 0.302, 0.784)
O (0.745, 0.017, 0.835)
O (0.755, 0.983, 0.335)
O (0.762, 0.698, 0.284)
O (0.782, 0.718, 0.572)
O (0.900, 0.542, 0.945)
O (0.964, 0.471, 0.430)

=====

A plane-wave DFT calculation with PBE was carried out for a geometry-optimized SO5 structure.

Values from the calculation:
Total energy = -5.49 eV/atom
Spin magnetization = 0.333 μB/atom
V = 491 Å³ per cell
E_form = -0.81 eV per atom

Unit cell a=8.048 b=6.677 c=9.787 alpha=90.00 beta=111.03 gamma=90.00
Fractional coordinates of all 24 atoms:
S (0.235, 0.184, 0.477)
S (0.235, 0.316, 0.977)
S (0.765, 0.684, 0.023)
S (0.765, 0.816, 0.523)
O (0.122, 0.198, 0.029)
O (0.122, 0.302, 0.529)
O (0.163, 0.018, 0.381)
O (0.163, 0.482, 0.881)
O (0.249, 0.727, 0.184)
O (0.249, 0.773, 0.684)
O (0.312, 0.558, 0.214)
O (0.312, 0.942, 0.714)
O (0.419, 0.239, 0.514)
O (0.419, 0.261, 0.014)
O (0.581, 0.739, 0.986)
O (0.581, 0.761, 0.486)
O (0.688, 0.058, 0.286)
O (0.688, 0.442, 0.786)
O (0.751, 0.227, 0.316)
O (0.751, 0.273, 0.816)
O (0.837, 0.518, 0.119)
O (0.837, 0.982, 0.619)
O (0.878, 0.698, 0.471)
O (0.878, 0.802, 0.971)

=====

A plane-wave DFT calculation with PBE was carried out for a geometry-optimized Sb2S3O12 structure.

Values from the calculation:
Total energy = -6.01 eV/atom
V = 947 Å³ per cell
E_form = -1.78 eV per atom

Unit cell a=13.364 b=4.898 c=17.963 alpha=90.00 beta=126.39 gamma=90.00
Fractional coordinates of all 68 atoms:
Sb (0.112, 0.208, 0.437)
Sb (0.112, 0.292, 0.937)
Sb (0.357, 0.074, 0.784)
Sb (0.357, 0.426, 0.284)
Sb (0.643, 0.574, 0.716)
Sb (0.643, 0.926, 0.216)
Sb (0.888, 0.708, 0.063)
Sb (0.888, 0.792, 0.563)
S (0.163, 0.645, 0.607)
S (0.163, 0.855, 0.107)
S (0.171, 0.669, 0.323)
S (0.171, 0.831, 0.823)
S (0.442, 0.059, 0.610)
S (0.442, 0.441, 0.110)
S (0.558, 0.559, 0.890)
S (0.558, 0.941, 0.390)
S (0.829, 0.169, 0.177)
S (0.829, 0.331, 0.677)
S (0.837, 0.145, 0.893)
S (0.837, 0.355, 0.393)
O (0.051, 0.527, 0.596)
O (0.051, 0.973, 0.096)
O (0.087, 0.553, 0.231)
O (0.087, 0.947, 0.731)
O (0.136, 0.578, 0.069)
O (0.136, 0.922, 0.569)
O (0.141, 0.563, 0.389)
O (0.141, 0.937, 0.889)
O (0.171, 0.535, 0.829)
O (0.171, 0.965, 0.329)
O (0.201, 0.044, 0.062)
O (0.201, 0.456, 0.562)
O (0.270, 0.646, 0.708)
O (0.270, 0.854, 0.208)
O (0.303, 0.560, 0.366)
O (0.303, 0.940, 0.866)
O (0.320, 0.057, 0.520)
O (0.320, 0.443, 0.020)
O (0.443, 0.538, 0.187)
O (0.443, 0.962, 0.687)
O (0.468, 0.111, 0.395)
O (0.468, 0.389, 0.895)
O (0.484, 0.141, 0.125)
O (0.484, 0.359, 0.625)
O (0.516, 0.641, 0.375)
O (0.516, 0.859, 0.875)
O (0.532, 0.611, 0.105)
O (0.532, 0.889, 0.605)
O (0.557, 0.038, 0.313)
O (0.557, 0.462, 0.813)
O (0.680, 0.557, 0.980)
O (0.680, 0.943, 0.480)
O (0.697, 0.060, 0.134)
O (0.697, 0.440, 0.634)
O (0.730, 0.146, 0.792)
O (0.730, 0.354, 0.292)
O (0.799, 0.544, 0.438)
O (0.799, 0.956, 0.938)
O (0.829, 0.035, 0.671)
O (0.829, 0.465, 0.171)
O (0.859, 0.063, 0.111)
O (0.859, 0.437, 0.611)
O (0.864, 0.078, 0.431)
O (0.864, 0.422, 0.931)
O (0.913, 0.053, 0.269)
O (0.913, 0.447, 0.769)
O (0.949, 0.027, 0.904)
O (0.949, 0.473, 0.404)

=====

A plane-wave DFT calculation with PBE was carried out for a geometry-optimized Sb5S3O5 structure.

Values from the calculation:
Total energy = -5.24 eV/atom
Spin magnetization = 0.001 μB/atom
V = 1193 Å³ per cell
E_form = -1.18 eV per atom

Unit cell a=5.833 b=13.592 c=16.763 alpha=67.47 beta=79.98 gamma=77.61
Fractional coordinates of all 52 atoms:
Sb (0.000, 0.000, 0.000)
Sb (0.001, 0.888, 0.845)
Sb (0.030, 0.388, 0.345)
Sb (0.125, 0.232, 0.126)
Sb (0.168, 0.442, 0.714)
Sb (0.176, 0.631, 0.017)
Sb (0.280, 0.732, 0.626)
Sb (0.336, 0.592, 0.344)
Sb (0.439, 0.942, 0.214)
Sb (0.448, 0.039, 0.673)
Sb (0.491, 0.092, 0.844)
Sb (0.500, 0.189, 0.303)
Sb (0.603, 0.539, 0.173)
Sb (0.659, 0.399, 0.891)
Sb (0.763, 0.500, 0.500)
Sb (0.771, 0.689, 0.803)
Sb (0.814, 0.899, 0.391)
Sb (0.909, 0.743, 0.173)
Sb (0.938, 0.243, 0.673)
Sb (0.939, 0.131, 0.517)
S (0.047, 0.281, 0.893)
S (0.149, 0.128, 0.283)
S (0.202, 0.628, 0.783)
S (0.208, 0.600, 0.573)
S (0.379, 0.093, 0.073)
S (0.403, 0.341, 0.123)
S (0.541, 0.781, 0.393)
S (0.557, 0.031, 0.444)
S (0.731, 0.531, 0.944)
S (0.737, 0.502, 0.734)
S (0.790, 0.002, 0.234)
S (0.892, 0.849, 0.624)
O (0.056, 0.465, 0.425)
O (0.091, 0.859, 0.087)
O (0.123, 0.165, 0.592)
O (0.143, 0.359, 0.644)
O (0.213, 0.772, 0.930)
O (0.275, 0.136, 0.741)
O (0.284, 0.986, 0.920)
O (0.322, 0.272, 0.373)
O (0.328, 0.495, 0.276)
O (0.366, 0.645, 0.098)
O (0.573, 0.486, 0.420)
O (0.611, 0.636, 0.241)
O (0.617, 0.859, 0.144)
O (0.655, 0.145, 0.598)
O (0.664, 0.995, 0.776)
O (0.726, 0.359, 0.587)
O (0.796, 0.772, 0.873)
O (0.816, 0.965, 0.925)
O (0.848, 0.272, 0.430)
O (0.883, 0.665, 0.092)

=====

> What is the E_form in the fifth record?

-1.78 eV per atom

=====

> What is the formula in the first record?

SO6

=====

> Among the records above, which one has the lowest V?

number 3

=====

> Among the records above, which one has the lowest E_form?

Sb2S3O12